## Na2TbO3 (PBE)

Data for a relaxed structure of Na2TbO3.

As for the crystal system: monoclinic. The total energy is -5.79 eV/atom.

Cell lengths 5.9062, 5.9062, 5.9168 Å; angles 79.27, 79.27, 118.56 degrees
Last column: nearest neighbours and their distance in Å.
Fractional coordinates of all 12 atoms:
Tb (0.4055, 0.5945, 0.2500)  6 O 2.27-2.32
O (0.2150, 0.3552, 0.0078)  2 Tb 2.27-2.32, 3 Na 2.36-2.53
Na (0.2457, 0.7543, 0.7500)  6 O 2.46-2.53
Na (0.9196, 0.0804, 0.7500)  4 O 2.36-2.41
O (0.7850, 0.6448, 0.9922)  2 Tb 2.27-2.32, 3 Na 2.36-2.53
Na (0.7543, 0.2457, 0.2500)  6 O 2.46-2.53
O (0.0000, 0.5000, 0.5000)  2 Tb 2.31, 4 Na 2.41-2.47
Tb (0.5945, 0.4055, 0.7500)  6 O 2.27-2.32
O (0.3552, 0.2150, 0.5078)  2 Tb 2.27-2.32, 3 Na 2.36-2.53
Na (0.0804, 0.9196, 0.2500)  4 O 2.36-2.41
O (0.6448, 0.7850, 0.4922)  2 Tb 2.27-2.32, 3 Na 2.36-2.53
O (0.5000, 0.0000, 0.0000)  2 Tb 2.31, 4 Na 2.41-2.47